{"formula": "Ta6Pb4O19", "functional": "PBE", "state": "optimized geometry", "lattice_angstrom": [[-3.759, 11.292, 5.327], [3.759, -11.292, 5.327], [3.759, 11.292, -5.327]], "species": ["Ta", "Ta", "Ta", "Ta", "Ta", "Ta", "Ta", "Ta", "Ta", "Ta", "Ta", "Ta", "Pb", "Pb", "Pb", "Pb", "Pb", "Pb", "Pb", "Pb", "O", "O", "O", "O", "O", "O", "O", "O", "O", "O", "O", "O", "O", "O", "O", "O", "O", "O", "O", "O", "O", "O", "O", "O", "O", "O", "O", "O", "O", "O", "O", "O", "O", "O", "O", "O", "O", "O"], "fractional_positions": [[0.000, 0.000, 0.000], [0.168, 0.000, 0.668], [0.168, 0.003, 0.165], [0.168, 0.500, 0.168], [0.338, 0.003, 0.335], [0.500, 0.000, 0.000], [0.500, 0.000, 0.500], [0.500, 0.500, 0.500], [0.662, 0.997, 0.665], [0.832, 0.000, 0.332], [0.832, 0.500, 0.832], [0.832, 0.997, 0.835], [0.000, 0.000, 0.500], [0.000, 0.500, 0.000], [0.000, 0.500, 0.500], [0.182, 0.516, 0.666], [0.350, 0.516, 0.834], [0.500, 0.500, 0.000], [0.650, 0.484, 0.166], [0.818, 0.484, 0.334], [0.020, 0.065, 0.338], [0.020, 0.682, 0.955], [0.100, 0.316, 0.174], [0.100, 0.926, 0.783], [0.104, 0.685, 0.419], [0.139, 0.055, 0.084], [0.158, 0.408, 0.750], [0.181, 0.931, 0.250], [0.227, 0.065, 0.545], [0.227, 0.682, 0.162], [0.234, 0.315, 0.919], [0.311, 0.313, 0.379], [0.311, 0.932, 0.998], [0.358, 0.074, 0.674], [0.358, 0.684, 0.283], [0.434, 0.313, 0.502], [0.434, 0.932, 0.121], [0.435, 0.685, 0.750], [0.471, 0.055, 0.416], [0.529, 0.945, 0.584], [0.565, 0.315, 0.250], [0.566, 0.068, 0.879], [0.566, 0.687, 0.498], [0.642, 0.316, 0.717], [0.642, 0.926, 0.326], [0.689, 0.068, 0.002], [0.689, 0.687, 0.621], [0.766, 0.685, 0.081], [0.773, 0.318, 0.838], [0.773, 0.935, 0.455], [0.819, 0.069, 0.750], [0.842, 0.592, 0.250], [0.861, 0.945, 0.916], [0.896, 0.315, 0.581], [0.900, 0.074, 0.217], [0.900, 0.684, 0.826], [0.980, 0.318, 0.045], [0.980, 0.935, 0.662]], "magmom_total_mub_per_fu": 0.0, "e_tot_ev_per_atom": -8.65, "vol_a3_per_atom": 15.60, "formation_energy_ev_per_fu": -84.01}